The following is a DFT calculation (PBE) of crystalline K2Cu5TeS3O19 at its relaxed geometry.

Summary:
- Space-group type: P2_1/m

Unit cell a=12.0198 b=7.8531 c=9.4654 alpha=67.15 beta=90.00 gamma=90.00
Fractional positions:
K1 0.2500 0.9787 0.4820
K2 0.7500 0.0213 0.5180
K3 0.5000 0.0000 0.0000
K4 0.0000 0.0000 0.0000
Cu1 0.3750 0.4680 0.2702
Cu2 0.8750 0.5320 0.7298
Cu3 0.6250 0.5320 0.7298
Cu4 0.1250 0.4680 0.2702
Cu5 0.3677 0.5036 0.7262
Cu6 0.8677 0.4964 0.2738
Cu7 0.6323 0.4964 0.2738
Cu8 0.1323 0.5036 0.7262
Cu9 0.5000 0.5000 0.0000
Cu10 0.0000 0.5000 0.0000
Te1 0.2500 0.7713 0.9234
Te2 0.7500 0.2287 0.0766
S1 0.4688 0.2130 0.5972
S2 0.9688 0.7870 0.4028
S3 0.5312 0.7870 0.4028
S4 0.0312 0.2130 0.5972
S5 0.2500 0.2022 0.0681
S6 0.7500 0.7978 0.9319
O1 0.2500 0.5713 0.3059
O2 0.7500 0.4287 0.6941
O3 0.4892 0.6034 0.7886
O4 0.9892 0.3966 0.2114
O5 0.5108 0.3966 0.2114
O6 0.0108 0.6034 0.7886
O7 0.2500 0.4324 0.6470
O8 0.7500 0.5676 0.3530
O9 0.2500 0.6605 0.7704
O10 0.7500 0.3395 0.2296
O11 0.3754 0.6425 0.0475
O12 0.8754 0.3575 0.9525
O13 0.6246 0.3575 0.9525
O14 0.1246 0.6425 0.0475
O15 0.4752 0.3466 0.6806
O16 0.9752 0.6534 0.3194
O17 0.5248 0.6534 0.3194
O18 0.0248 0.3466 0.6806
O19 0.3528 0.2832 0.9754
O20 0.8528 0.7168 0.0246
O21 0.6472 0.7168 0.0246
O22 0.1472 0.2832 0.9754
O23 0.3778 0.2749 0.4773
O24 0.8778 0.7251 0.5227
O25 0.6222 0.7251 0.5227
O26 0.1222 0.2749 0.4773
O27 0.2500 0.2481 0.2073
O28 0.7500 0.7519 0.7927
O29 0.4369 0.0285 0.7080
O30 0.9369 0.9715 0.2920
O31 0.5631 0.9715 0.2920
O32 0.0631 0.0285 0.7080
O33 0.4211 0.7788 0.4707
O34 0.9211 0.2212 0.5293
O35 0.5789 0.2212 0.5293
O36 0.0789 0.7788 0.4707
O37 0.2500 0.9981 0.1121
O38 0.7500 0.0019 0.8879

The following is a DFT calculation (PBE) of crystalline PrSiRu2C at its relaxed geometry.

Summary:
- Space-group type: Cmcm

Unit cell a=5.9226 b=5.9226 c=7.2532 alpha=90.00 beta=90.00 gamma=141.00
Fractional positions:
Pr1 0.5498 0.4502 0.2500
Pr2 0.4502 0.5498 0.7500
Si1 0.2713 0.7287 0.2500
Si2 0.7287 0.2713 0.7500
Ru1 0.8353 0.1647 0.0593
Ru2 0.1647 0.8353 0.9407
Ru3 0.1647 0.8353 0.5593
Ru4 0.8353 0.1647 0.4407
C1 0.0000 0.0000 0.0000
C2 0.0000 0.0000 0.5000

The following is a DFT calculation (PBE) of crystalline BiOF at its relaxed geometry.

Summary:
- Space-group type: Pnma

Unit cell a=3.6441 b=6.5382 c=7.7493 alpha=90.00 beta=90.00 gamma=90.00
Fractional positions:
Bi1 0.7500 0.2033 0.0983
Bi2 0.2500 0.2967 0.5983
Bi3 0.7500 0.7033 0.4017
Bi4 0.2500 0.7967 0.9017
O1 0.7500 0.0061 0.8620
O2 0.2500 0.4939 0.3620
O3 0.7500 0.5061 0.6380
O4 0.2500 0.9939 0.1380
F1 0.7500 0.1453 0.4172
F2 0.2500 0.3547 0.9172
F3 0.7500 0.6453 0.0828
F4 0.2500 0.8547 0.5828

The following is a DFT calculation (PBE) of crystalline Ba3As2H34O25 at its relaxed geometry.

Summary:
- Space-group type: Cc

Unit cell a=9.5144 b=9.5144 c=13.9142 alpha=89.85 beta=89.85 gamma=86.56
Fractional positions:
Ba1 0.9811 0.1893 0.1776
Ba2 0.1893 0.9811 0.6776
Ba3 0.2624 0.7407 0.2216
Ba4 0.7407 0.2624 0.7216
Ba5 0.6790 0.4716 0.2747
Ba6 0.4716 0.6790 0.7747
As1 0.1674 0.5064 0.4739
As2 0.5064 0.1674 0.9739
As3 0.9964 0.6661 0.9747
As4 0.6661 0.9964 0.4747
H1 0.7956 0.4822 0.0491
H2 0.4822 0.7956 0.5491
H3 0.6824 0.3679 0.0531
H4 0.3679 0.6824 0.5531
H5 0.0312 0.5153 0.2826
H6 0.5153 0.0312 0.7826
H7 0.0149 0.5291 0.1668
H8 0.5291 0.0149 0.6668
H9 0.2180 0.2660 0.0126
H10 0.2660 0.2180 0.5126
H11 0.1475 0.4202 0.0435
H12 0.4202 0.1475 0.5435
H13 0.1970 0.2684 0.3523
H14 0.2684 0.1970 0.8523
H15 0.2570 0.1288 0.3065
H16 0.1288 0.2570 0.8065
H17 0.9726 0.3034 0.4046
H18 0.3034 0.9726 0.9046
H19 0.8657 0.1827 0.3992
H20 0.1827 0.8657 0.8992
H21 0.6420 0.1461 0.1651
H22 0.1461 0.6420 0.6651
H23 0.6499 0.1294 0.2807
H24 0.1294 0.6499 0.7807
H25 0.9133 0.9757 0.9928
H26 0.9757 0.9133 0.4928
H27 0.7678 0.0608 0.0252
H28 0.0608 0.7678 0.5252
H29 0.8843 0.8643 0.2325
H30 0.8643 0.8843 0.7325
H31 0.9260 0.9331 0.3297
H32 0.9331 0.9260 0.8297
H33 0.2434 0.0236 0.0587
H34 0.0236 0.2434 0.5587
H35 0.1198 0.9223 0.0474
H36 0.9223 0.1198 0.5474
H37 0.2049 0.9261 0.4231
H38 0.9261 0.2049 0.9231
H39 0.3572 0.9695 0.3929
H40 0.9695 0.3572 0.8929
H41 0.5153 0.9688 0.1546
H42 0.9688 0.5153 0.6546
H43 0.5201 0.9562 0.2686
H44 0.9562 0.5201 0.7686
H45 0.4889 0.7660 0.0281
H46 0.7660 0.4889 0.5281
H47 0.3874 0.6468 0.0084
H48 0.6468 0.3874 0.5084
H49 0.4233 0.4112 0.1242
H50 0.4112 0.4233 0.6242
H51 0.3490 0.3626 0.2190
H52 0.3626 0.3490 0.7190
H53 0.5359 0.7323 0.3991
H54 0.7323 0.5359 0.8991
H55 0.4319 0.6100 0.4124
H56 0.6100 0.4319 0.9124
H57 0.7452 0.7327 0.1155
H58 0.7327 0.7452 0.6155
H59 0.8591 0.6665 0.1815
H60 0.6665 0.8591 0.6815
H61 0.7590 0.7064 0.4431
H62 0.7064 0.7590 0.9431
H63 0.9116 0.6359 0.4117
H64 0.6359 0.9116 0.9117
H65 0.5271 0.2342 0.4053
H66 0.2342 0.5271 0.9053
H67 0.4504 0.3865 0.4425
H68 0.3865 0.4504 0.9425
O1 0.0733 0.5922 0.5643
O2 0.5922 0.0733 0.0643
O3 0.1323 0.3295 0.4670
O4 0.3295 0.1323 0.9670
O5 0.3461 0.5152 0.4979
O6 0.5152 0.3461 0.9979
O7 0.1228 0.5863 0.3663
O8 0.5863 0.1228 0.8663
O9 0.8184 0.6398 0.9870
O10 0.6398 0.8184 0.4870
O11 0.0821 0.6179 0.0799
O12 0.6179 0.0821 0.5799
O13 0.0604 0.5627 0.8806
O14 0.5627 0.0604 0.3806
O15 0.0200 0.8425 0.9511
O16 0.8425 0.0200 0.4511
O17 0.7707 0.3956 0.0845
O18 0.3956 0.7707 0.5845
O19 0.9717 0.4875 0.2261
O20 0.4875 0.9717 0.7261
O21 0.1378 0.3181 0.0460
O22 0.3181 0.1378 0.5460
O23 0.2304 0.2277 0.2895
O24 0.2277 0.2304 0.7895
O25 0.8907 0.2724 0.3674
O26 0.2724 0.8907 0.8674
O27 0.6890 0.1805 0.2249
O28 0.1805 0.6890 0.7249
O29 0.8709 0.0698 0.0128
O30 0.0698 0.8709 0.5128
O31 0.9611 0.9125 0.2640
O32 0.9125 0.9611 0.7640
O33 0.1736 0.9727 0.0965
O34 0.9727 0.1736 0.5965
O35 0.2652 0.9474 0.3672
O36 0.9474 0.2652 0.8672
O37 0.4793 0.9164 0.2103
O38 0.9164 0.4793 0.7103
O39 0.4293 0.7005 0.0612
O40 0.7005 0.4293 0.5612
O41 0.4003 0.4400 0.1909
O42 0.4400 0.4003 0.6909
O43 0.4826 0.6635 0.3621
O44 0.6635 0.4826 0.8621
O45 0.7746 0.7311 0.1831
O46 0.7311 0.7746 0.6831
O47 0.8116 0.6180 0.4193
O48 0.6180 0.8116 0.9193
O49 0.5376 0.3376 0.4155
O50 0.3376 0.5376 0.9155

The following is a DFT calculation (PBE) of crystalline NaC2NO3 at its relaxed geometry.

Summary:
- Space-group type: P2_1/c

Unit cell a=5.3987 b=3.5879 c=21.6158 alpha=83.70 beta=90.00 gamma=90.00
Fractional positions:
Na1 0.2010 0.6909 0.2977
Na2 0.7010 0.3091 0.2023
Na3 0.7990 0.3091 0.7023
Na4 0.2990 0.6909 0.7977
C1 0.0029 0.2392 0.0764
C2 0.5029 0.7608 0.4236
C3 0.9971 0.7608 0.9236
C4 0.4971 0.2392 0.5764
C5 0.2093 0.8862 0.1607
C6 0.7093 0.1138 0.3393
C7 0.7907 0.1138 0.8393
C8 0.2907 0.8862 0.6607
N1 0.1882 0.0840 0.0992
N2 0.6882 0.9160 0.4008
N3 0.8118 0.9160 0.9008
N4 0.3118 0.0840 0.5992
O1 0.8326 0.4019 0.0524
O2 0.3326 0.5981 0.4476
O3 0.1674 0.5981 0.9476
O4 0.6674 0.4019 0.5524
O5 0.4256 0.8138 0.1800
O6 0.9256 0.1862 0.3200
O7 0.5744 0.1862 0.8200
O8 0.0744 0.8138 0.6800
O9 0.0096 0.8063 0.1905
O10 0.5096 0.1937 0.3095
O11 0.9904 0.1937 0.8095
O12 0.4904 0.8063 0.6905

The following is a DFT calculation (PBE) of crystalline Pr3Si3Ni at its relaxed geometry.

Summary:
- Space-group type: Imm2

Unit cell a=9.5310 b=9.5310 c=9.5310 alpha=155.71 beta=153.69 gamma=36.11
Fractional positions:
Pr1 0.0005 0.0005 0.0000
Pr2 0.8151 0.3151 0.5000
Pr3 0.1816 0.6816 0.5000
Si1 0.6332 0.1332 0.5000
Si2 0.3614 0.8614 0.5000
Si3 0.4415 0.4415 0.0000
Ni1 0.5667 0.5667 0.0000

The following is a DFT calculation (PBE) of crystalline TmB2 at its relaxed geometry.

Summary:
- Space-group type: P6/mmm

Unit cell a=3.2636 b=3.2636 c=3.7659 alpha=90.00 beta=90.00 gamma=120.00
Fractional positions:
Tm1 0.0000 0.0000 0.0000
B1 0.3333 0.6667 0.5000
B2 0.6667 0.3333 0.5000

The following is a DFT calculation (PBE) of crystalline SrCaU2O8 at its relaxed geometry.

Summary:
- Space-group type: R-3m

Unit cell a=12.4405 b=12.4405 c=12.4405 alpha=18.09 beta=18.09 gamma=18.09
Fractional positions:
Sr1 0.0000 0.0000 0.0000
Ca1 0.5000 0.5000 0.5000
U1 0.7520 0.7520 0.7520
U2 0.2480 0.2480 0.2480
O1 0.0715 0.0715 0.0715
O2 0.5672 0.5672 0.5672
O3 0.9285 0.9285 0.9285
O4 0.4328 0.4328 0.4328
O5 0.6978 0.6978 0.6978
O6 0.1938 0.1938 0.1938
O7 0.3022 0.3022 0.3022
O8 0.8062 0.8062 0.8062

The DFT total energy results, record by record, are as follows: -326.3, -81.5, -64.5, -671.5, -201.5, -41.4, -19.8, -104.5 eV/cell.